Entry 1:
DFT (PBE-GGA) results for a geometry-optimized MgUS2O21 structure.

Structure (POSCAR):
```
MgUS2O21
1.0
5.9802 -4.1621 0.0000
5.9802 4.1621 0.0000
-2.0778 0.0000 15.2182
Mg U S O
2 2 4 42
Cartesian
2.9901 2.0811 0.0000
1.9512 -2.0811 7.6091
4.4218 3.5108 11.4136
5.4607 -3.5108 3.8045
1.7904 0.3398 10.0096
2.8293 -0.3398 2.4005
7.0533 0.3398 12.8176
8.0922 -0.3398 5.2086
1.2178 1.6553 9.4597
4.0686 3.3743 9.6288
4.0011 2.9265 7.1124
4.7751 3.3743 13.1985
1.8122 0.3467 3.2350
5.4607 2.9036 3.8045
1.9382 1.2603 13.7063
5.8116 2.5118 0.7687
5.1098 2.5118 6.8404
3.1898 0.5181 1.2432
0.7733 -0.3467 10.8441
6.9204 2.9265 0.4967
2.9445 0.7841 10.7861
2.1509 -0.5181 8.8523
2.6907 0.1258 13.6601
3.7296 -0.1258 6.0510
2.2566 -1.6553 1.8507
3.8801 0.2436 14.1052
3.9834 -0.7841 3.1770
2.9771 -1.2603 6.0972
4.9636 0.2436 8.7221
4.9190 -0.2436 6.4961
6.9055 1.2603 9.1209
5.8992 0.7841 12.0412
6.0025 -0.2436 1.1130
7.6259 1.6553 13.3675
6.1530 0.1258 9.1672
7.1919 -0.1258 1.5581
7.7317 0.5181 6.3659
6.9381 -0.7841 4.4321
2.9622 -2.9265 14.7215
9.1093 0.3467 4.3741
6.6928 -0.5181 13.9750
4.7727 -2.5118 8.3777
4.0710 -2.5118 14.4495
7.9444 -1.2603 1.5119
4.4218 -2.9036 11.4136
8.0704 -0.3467 11.9831
5.1075 -3.3743 2.0197
5.8815 -2.9265 8.1058
5.8140 -3.3743 5.5894
8.6648 -1.6553 5.7584
```

## Properties
VASP energy: -5.8573 eV/atom
calculated volume: 757.6 Å³/cell
energy relative to the lowest polymorph listed for this composition: 0.00 eV/f.u.
magnetic moment: 3.66 μB per formula unit
space-group type: No. 15

---

Entry 2:
DFT (PBE-GGA) results for a geometry-optimized MgUS2O21 structure.

Structure (POSCAR):
```
MgUS2O21
1.0
5.6758 -3.9126 0.0000
5.6758 3.9126 0.0000
-4.8349 0.0000 20.0249
Mg U S O
2 2 4 42
Cartesian
0.0000 0.0000 0.0000
-2.4175 0.0000 10.0124
2.0496 1.6769 15.0187
4.4670 -1.6769 5.0062
2.1914 1.0549 5.8753
-0.2261 -1.0549 15.8877
6.7427 1.0549 4.1371
4.3252 -1.0549 14.1496
1.0238 1.4856 5.0269
4.4670 3.8118 5.0062
1.6876 1.0178 1.5765
2.6582 1.6608 2.0171
-0.3264 0.7993 9.2464
2.8505 2.2550 6.4611
-0.1655 2.2943 19.5970
0.8253 0.4317 9.4937
2.0512 1.7177 13.2107
-2.7439 -0.7993 19.2589
1.7432 0.2185 6.9983
4.2647 2.2943 10.4403
-0.7298 -1.0178 11.5889
2.0479 1.7177 16.8266
6.0836 2.2550 3.5513
-1.5922 -0.4317 19.5062
-0.6742 -0.2185 17.0107
3.1024 0.3199 4.9624
-1.3936 -1.4856 15.0394
0.6849 -0.3199 14.9749
0.2407 -1.6608 12.0295
6.2759 1.6608 7.9954
5.8317 0.3199 5.0500
7.9102 1.4856 4.9855
3.4142 -0.3199 15.0624
7.1908 0.2185 3.0142
8.1088 0.4317 0.5187
0.4330 -2.2550 16.4735
4.4687 -1.7177 3.1982
7.2465 1.0178 8.4360
2.2519 -2.2943 9.5845
4.7734 -0.2185 13.0266
9.2605 0.7993 0.7660
4.4654 -1.7177 6.8142
5.6913 -0.4317 10.5311
6.6821 -2.2943 0.4279
3.6661 -2.2550 13.5638
6.8430 -0.7993 10.7784
3.8584 -1.6608 18.0078
4.8290 -1.0178 18.4484
2.0496 -3.8118 15.0187
5.4928 -1.4856 14.9979
```

## Properties
VASP energy: -5.7930 eV/atom
calculated volume: 889.4 Å³/cell
energy relative to the lowest polymorph listed for this composition: 1.61 eV/f.u.
magnetic moment: 8.14 μB per formula unit
space-group type: No. 15

---

Entry 3:
DFT (PBE-GGA) results for a geometry-optimized Mg2U4S2O27 structure.

Structure (POSCAR):
```
Mg2U4S2O27
1.0
4.3677 -7.0995 0.0000
4.3677 7.0995 0.0000
-2.0648 0.0000 8.6193
Mg U S O
2 4 2 27
Cartesian
0.8697 0.0000 1.7822
5.8009 0.0000 6.8371
1.1939 3.2289 7.1612
5.4766 3.2289 1.4581
1.1939 -3.2289 7.1612
5.4766 -3.2289 1.4581
3.3353 3.5162 4.3096
3.3353 -3.5162 4.3096
0.0000 0.0000 0.0000
-0.6508 0.0000 3.3441
0.9987 2.0622 1.9235
2.5150 4.3864 3.4230
3.2764 3.4726 0.7471
1.0631 1.4567 7.4530
2.4801 2.6462 5.1630
1.5256 0.0000 4.0110
4.1555 4.3864 5.1963
0.9987 -2.0622 1.9235
3.3942 3.4726 7.8722
4.1905 2.6462 3.4563
2.8579 0.0000 2.2650
1.0631 -1.4567 7.4530
5.6075 1.4567 1.1662
3.8126 0.0000 6.3542
2.4801 -2.6462 5.1630
3.2764 -3.4726 0.7471
5.6718 2.0622 6.6958
2.5150 -4.3864 3.4230
5.1450 0.0000 4.6083
4.1905 -2.6462 3.4563
5.6075 -1.4567 1.1662
3.3942 -3.4726 7.8722
4.1555 -4.3864 5.1963
5.6718 -2.0622 6.6958
7.3214 0.0000 5.2752
```

## Properties
VASP energy: -6.9592 eV/atom
calculated volume: 534.5 Å³/cell
magnetic moment: 12.11 μB per formula unit
space-group type: No. 12

---

Entry 4:
DFT (PBE-GGA) results for a geometry-optimized MgZrS3O12 structure.

Structure (POSCAR):
```
MgZrS3O12
1.0
8.8471 0.0000 0.0000
-4.4235 7.6618 0.0000
0.0000 0.0000 22.7127
Mg Zr S O
6 6 18 72
Cartesian
0.0000 0.0000 8.0356
0.0000 0.0000 19.3919
4.4235 2.5539 15.6065
4.4235 2.5539 4.2501
0.0000 5.1079 0.4647
0.0000 5.1079 11.8210
0.0000 0.0000 14.6414
0.0000 0.0000 3.2851
4.4235 2.5539 22.2123
4.4235 2.5539 10.8560
0.0000 5.1079 7.0705
0.0000 5.1079 18.4269
2.5660 0.0508 5.7060
3.1845 5.4141 5.7060
7.5201 2.1969 5.7060
1.3270 2.1969 17.0624
5.6626 5.4141 17.0624
6.2810 0.0508 17.0624
6.9896 2.6047 13.2769
3.1845 0.3063 13.2769
3.0966 4.7508 13.2769
5.7505 4.7508 1.9205
5.6626 0.3063 1.9205
1.8575 2.6047 1.9205
2.5660 5.1586 20.8478
-1.2391 2.8602 20.8478
-1.3270 7.3047 20.8478
1.3270 7.3047 9.4915
1.2391 2.8602 9.4915
-2.5661 5.1586 9.4915
1.7166 0.2227 6.8756
3.7581 6.0639 6.8756
7.7959 1.3752 6.8756
1.0511 1.3752 18.2320
5.0890 6.0639 18.2320
7.1305 0.2227 18.2320
2.7040 7.4220 15.8440
0.6521 1.6091 15.8440
-3.3561 6.2926 15.8440
3.3561 6.2926 4.4876
-0.6521 1.6091 4.4876
-2.7040 7.4220 4.4876
6.1401 2.7766 14.4465
3.7581 0.9560 14.4465
3.3724 3.9292 14.4465
5.4747 3.9292 3.0901
5.0890 0.9560 3.0901
2.7070 2.7766 3.0901
2.7040 2.3141 0.7021
5.0756 4.1630 0.7021
5.4910 1.1847 0.7021
3.3561 1.1847 12.0585
3.7715 4.1630 12.0585
6.1430 2.3141 12.0585
1.7166 5.3305 22.0174
-0.6654 3.5099 22.0174
-1.0511 6.4831 22.0174
1.0511 6.4831 10.6611
0.6654 3.5099 10.6611
-1.7166 5.3305 10.6611
-1.7195 4.8680 8.2731
0.6521 6.7169 8.2731
1.0674 3.7386 8.2731
-1.0675 3.7386 19.6294
-0.6521 6.7169 19.6294
1.7195 4.8680 19.6294
-3.4307 6.3016 9.2546
2.7492 7.4821 9.2546
0.6816 1.5399 9.2546
-0.6815 1.5399 20.6109
-2.7492 7.4821 20.6109
3.4307 6.3016 20.6109
7.8335 1.3623 13.4354
1.6865 0.1967 13.4354
3.7506 6.1029 13.4354
5.0965 6.1029 2.0790
7.1605 0.1967 2.0790
1.0136 1.3623 2.0790
5.4163 1.1937 16.8255
2.7492 2.3742 16.8255
5.1051 4.0938 16.8255
3.7420 4.0938 5.4691
6.0979 2.3742 5.4691
3.4307 1.1937 5.4691
3.4100 3.9162 21.0063
6.1101 2.7506 21.0063
3.7506 0.9950 21.0063
5.0965 0.9950 9.6499
2.7370 2.7506 9.6499
5.4371 3.9162 9.6499
0.9928 3.7477 1.6836
-1.6743 4.9282 1.6836
0.6816 6.6477 1.6836
-0.6816 6.6477 13.0400
1.6743 4.9282 13.0400
-0.9928 3.7477 13.0400
-1.0136 6.4701 5.8645
1.6865 5.3045 5.8645
-0.6730 3.5489 5.8645
0.6730 3.5489 17.2209
-1.6865 5.3045 17.2209
1.0136 6.4701 17.2209
```

## Properties
VASP energy: -6.7560 eV/atom
calculated volume: 1539.6 Å³/cell
magnetic moment: 0.00 μB per formula unit